i:
# LaMg, optimized geometry, DFT PBE-GGA
# - Crystal system: orthorhombic
data_LaMg
_chemical_formula_sum 'La2 Mg2'
_space_group_name_H-M_alt 'P m m a'
_space_group_IT_number 51
_space_group_name_Hall '-P 2a 2a'
_cell_length_a 5.615
_cell_length_b 3.825
_cell_length_c 5.805
_cell_angle_alpha 90.00
_cell_angle_beta 90.00
_cell_angle_gamma 90.00
loop_
_atom_site_label
_atom_site_type_symbol
_atom_site_fract_x
_atom_site_fract_y
_atom_site_fract_z
La1 La 0.250 0.000 0.199
Mg1 Mg 0.250 0.500 0.686

ii:
# LaMg, optimized geometry, DFT PBE-GGA
# - Magnetic moment: 0.00 μB per formula unit
# - Crystal system: monoclinic
data_LaMg
_chemical_formula_sum 'La6 Mg6'
_space_group_name_H-M_alt 'C 1 m 1'
_space_group_IT_number 8
_space_group_name_Hall 'C -2y'
_cell_length_a 12.941
_cell_length_b 3.565
_cell_length_c 8.122
_cell_angle_alpha 90.00
_cell_angle_beta 106.99
_cell_angle_gamma 90.00
loop_
_atom_site_label
_atom_site_type_symbol
_atom_site_fract_x
_atom_site_fract_y
_atom_site_fract_z
La1 La 0.000 0.000 0.000
La2 La 0.018 0.000 0.574
La3 La 0.146 0.500 0.330
Mg1 Mg 0.215 0.500 0.922
Mg2 Mg 0.310 0.000 0.668
Mg3 Mg 0.351 0.000 0.233

Most stable: i

i:
# CaAsO5, optimized geometry, DFT PBE-GGA
# - Magnetic moment: 0.00 μB per formula unit
# - Crystal system: orthorhombic
data_CaAsO5
_chemical_formula_sum 'Ca8 As8 O40'
_space_group_name_H-M_alt 'P b c n'
_space_group_IT_number 60
_space_group_name_Hall '-P 2n 2ab'
_cell_length_a 6.561
_cell_length_b 8.629
_cell_length_c 15.326
_cell_angle_alpha 90.00
_cell_angle_beta 90.00
_cell_angle_gamma 90.00
loop_
_atom_site_label
_atom_site_type_symbol
_atom_site_fract_x
_atom_site_fract_y
_atom_site_fract_z
Ca1 Ca 0.139 0.191 0.036
As1 As 0.134 0.450 0.888
O1 O 0.030 0.301 0.593
O2 O 0.038 0.370 0.385
O3 O 0.044 0.030 0.786
O4 O 0.184 0.063 0.469
O5 O 0.237 0.096 0.286

ii:
# CaAsO5, optimized geometry, DFT PBE-GGA
# - Magnetic moment: 3.00 μB per formula unit
# - Crystal system: orthorhombic
data_CaAsO5
_chemical_formula_sum 'Ca8 As8 O40'
_space_group_name_H-M_alt 'P b c n'
_space_group_IT_number 60
_space_group_name_Hall '-P 2n 2ab'
_cell_length_a 6.782
_cell_length_b 7.723
_cell_length_c 16.116
_cell_angle_alpha 90.00
_cell_angle_beta 90.00
_cell_angle_gamma 90.00
loop_
_atom_site_label
_atom_site_type_symbol
_atom_site_fract_x
_atom_site_fract_y
_atom_site_fract_z
Ca1 Ca 0.135 0.186 0.054
As1 As 0.158 0.429 0.885
O1 O 0.025 0.289 0.584
O2 O 0.048 0.375 0.362
O3 O 0.095 0.017 0.668
O4 O 0.195 0.064 0.473
O5 O 0.198 0.140 0.301

Most stable: i